Compound: W6CCl16
Source: the Materials Project database
Functional: PBE-GGA
Structure: optimized geometry

Computed properties:
E_form = -1.19 eV per atom
space-group type = No. 62
total magnetic moment = 0.001 μB per formula unit

a b c (Å): 17.1581 13.1770 10.1015
angles (deg): 90.00 90.00 90.00
Last column: nearest neighbours and their distance in Å.
Fractional coordinates of all 92 atoms:
W (0.0311, 0.2500, 0.0645)  1 C 2.20, 3 Cl 2.41-2.42
W (0.1051, 0.2500, 0.7865)  1 C 2.20, 5 Cl 2.40-2.46
W (0.1550, 0.1502, 0.1573)  1 C 2.15, 1 Cl 2.40
W (0.1550, 0.3498, 0.1573)  1 C 2.15, 1 Cl 2.40
W (0.2281, 0.1503, 0.8821)  1 C 2.15, 2 Cl 2.40
W (0.2281, 0.3497, 0.8821)  1 C 2.15, 2 Cl 2.40
W (0.2719, 0.6503, 0.3821)  1 C 2.15, 2 Cl 2.40
W (0.2719, 0.8497, 0.3821)  1 C 2.15, 2 Cl 2.40
W (0.3450, 0.6502, 0.6573)  1 C 2.15, 1 Cl 2.40
W (0.3450, 0.8498, 0.6573)  1 C 2.15, 1 Cl 2.40
W (0.3949, 0.7500, 0.2865)  1 C 2.20, 5 Cl 2.40-2.46
W (0.4689, 0.7500, 0.5645)  1 C 2.20, 3 Cl 2.41-2.42
W (0.5311, 0.2500, 0.4355)  1 C 2.20, 3 Cl 2.41-2.42
W (0.6051, 0.2500, 0.7135)  1 C 2.20, 5 Cl 2.40-2.46
W (0.6550, 0.1502, 0.3427)  1 C 2.15, 1 Cl 2.40
W (0.6550, 0.3498, 0.3427)  1 C 2.15, 1 Cl 2.40
W (0.7281, 0.1503, 0.6179)  1 C 2.15, 2 Cl 2.40
W (0.7281, 0.3497, 0.6179)  1 C 2.15, 2 Cl 2.40
W (0.7719, 0.6503, 0.1179)  1 C 2.15, 2 Cl 2.40
W (0.7719, 0.8497, 0.1179)  1 C 2.15, 2 Cl 2.40
W (0.8450, 0.6502, 0.8427)  1 C 2.15, 1 Cl 2.40
W (0.8450, 0.8498, 0.8427)  1 C 2.15, 1 Cl 2.40
W (0.8949, 0.7500, 0.2135)  1 C 2.20, 5 Cl 2.40-2.46
W (0.9689, 0.7500, 0.9355)  1 C 2.20, 3 Cl 2.41-2.42
C (0.1515, 0.2500, 0.9895)  6 W 2.15-2.20
C (0.3485, 0.7500, 0.4895)  6 W 2.15-2.20
C (0.6515, 0.2500, 0.5105)  6 W 2.15-2.20
C (0.8485, 0.7500, 0.0105)  6 W 2.15-2.20
Cl (0.0092, 0.1308, 0.8800)  2 W 2.46-2.47
Cl (0.0092, 0.3692, 0.8800)  2 W 2.46-2.47
Cl (0.0196, 0.2500, 0.5989)  1 W 2.40
Cl (0.0248, 0.1266, 0.2417)  2 W 2.41-2.42
Cl (0.0248, 0.3734, 0.2417)  2 W 2.41-2.42
Cl (0.1092, 0.7500, 0.9212)  1 W 2.41
Cl (0.1495, 0.0153, 0.9881)  2 W 2.47
Cl (0.1495, 0.4847, 0.9881)  2 W 2.47
Cl (0.1724, 0.7500, 0.2775)  2 W 2.40
Cl (0.1774, 0.2500, 0.3522)  2 W 2.40
Cl (0.1776, 0.5011, 0.3239)  2 W 2.61-2.64
Cl (0.1776, 0.9989, 0.3239)  2 W 2.61-2.64
Cl (0.1786, 0.1248, 0.6629)  2 W 2.40-2.42
Cl (0.1786, 0.3752, 0.6629)  2 W 2.40-2.42
Cl (0.2058, 0.6351, 0.5998)  2 W 2.47-2.48
Cl (0.2058, 0.8649, 0.5998)  2 W 2.47-2.48
Cl (0.2942, 0.1351, 0.0998)  2 W 2.47-2.48
Cl (0.2942, 0.3649, 0.0998)  2 W 2.47-2.48
Cl (0.3214, 0.6248, 0.1629)  2 W 2.40-2.42
Cl (0.3214, 0.8752, 0.1629)  2 W 2.40-2.42
Cl (0.3224, 0.0011, 0.8239)  2 W 2.61-2.64
Cl (0.3224, 0.4989, 0.8239)  2 W 2.61-2.64
Cl (0.3226, 0.7500, 0.8522)  2 W 2.40
Cl (0.3276, 0.2500, 0.7775)  2 W 2.40
Cl (0.3505, 0.5153, 0.4881)  2 W 2.47
Cl (0.3505, 0.9847, 0.4881)  2 W 2.47
Cl (0.3908, 0.2500, 0.4212)  1 W 2.41
Cl (0.4752, 0.6266, 0.7417)  2 W 2.41-2.42
Cl (0.4752, 0.8734, 0.7417)  2 W 2.41-2.42
Cl (0.4804, 0.7500, 0.0989)  1 W 2.40
Cl (0.4908, 0.6308, 0.3800)  2 W 2.46-2.47
Cl (0.4908, 0.8692, 0.3800)  2 W 2.46-2.47
Cl (0.5092, 0.1308, 0.6200)  2 W 2.46-2.47
Cl (0.5092, 0.3692, 0.6200)  2 W 2.46-2.47
Cl (0.5196, 0.2500, 0.9011)  1 W 2.40
Cl (0.5248, 0.1266, 0.2583)  2 W 2.41-2.42
Cl (0.5248, 0.3734, 0.2583)  2 W 2.41-2.42
Cl (0.6092, 0.7500, 0.5788)  1 W 2.41
Cl (0.6495, 0.0153, 0.5119)  2 W 2.47
Cl (0.6495, 0.4847, 0.5119)  2 W 2.47
Cl (0.6724, 0.7500, 0.2225)  2 W 2.40
Cl (0.6774, 0.2500, 0.1478)  2 W 2.40
Cl (0.6776, 0.5011, 0.1761)  2 W 2.61-2.64
Cl (0.6776, 0.9989, 0.1761)  2 W 2.61-2.64
Cl (0.6786, 0.1248, 0.8371)  2 W 2.40-2.42
Cl (0.6786, 0.3752, 0.8371)  2 W 2.40-2.42
Cl (0.7058, 0.6351, 0.9002)  2 W 2.47-2.48
Cl (0.7058, 0.8649, 0.9002)  2 W 2.47-2.48
Cl (0.7942, 0.1351, 0.4002)  2 W 2.47-2.48
Cl (0.7942, 0.3649, 0.4002)  2 W 2.47-2.48
Cl (0.8214, 0.6248, 0.3371)  2 W 2.40-2.42
Cl (0.8214, 0.8752, 0.3371)  2 W 2.40-2.42
Cl (0.8224, 0.0011, 0.6761)  2 W 2.61-2.64
Cl (0.8224, 0.4989, 0.6761)  2 W 2.61-2.64
Cl (0.8226, 0.7500, 0.6478)  2 W 2.40
Cl (0.8276, 0.2500, 0.7225)  2 W 2.40
Cl (0.8505, 0.5153, 0.0119)  2 W 2.47
Cl (0.8505, 0.9847, 0.0119)  2 W 2.47
Cl (0.8908, 0.2500, 0.0788)  1 W 2.41
Cl (0.9752, 0.6266, 0.7583)  2 W 2.41-2.42
Cl (0.9752, 0.8734, 0.7583)  2 W 2.41-2.42
Cl (0.9804, 0.7500, 0.4011)  1 W 2.40
Cl (0.9908, 0.6308, 0.1200)  2 W 2.46-2.47
Cl (0.9908, 0.8692, 0.1200)  2 W 2.46-2.47